Entry from the Materials Project database: a relaxed VGeN2 crystal (PBE-GGA).

MP2020-corrected energy: -0.2965 Ha/atom
calculated formation energy: -472 meV/atom

Cell lengths 6.5424, 3.3572, 9.6929 Å; angles 90.00, 90.00, 90.00 degrees
With the nearest neighbours (Å) after each atom.
Space group Pnma (No. 62)
Asymmetric unit:
1 V 0.0305 0.2500 0.1052  4 N 1.80-1.98
2 Ge 0.0609 0.2500 0.6174  3 N 1.98-2.07
3 N 0.1135 0.7500 0.7365  1 V 1.80
4 N 0.1496 0.7500 0.0587  3 V 1.90-1.98, 1 Ge 1.98

=====

Entry from the Materials Project database: a relaxed CaPuRh2 crystal (PBE-GGA).

calculated formation energy: 49 meV/atom

Cell lengths 6.7678, 6.7678, 6.7678 Å; angles 90.00, 90.00, 90.00 degrees
With the nearest neighbours (Å) after each atom.
Space group Fm-3m (No. 225)
Asymmetric unit:
1 Ca 0.0000 0.0000 0.0000  8 Rh 2.93
2 Pu 0.0000 0.0000 0.5000  8 Rh 2.93
3 Rh 0.2500 0.2500 0.2500  4 Ca 2.93, 4 Pu 2.93

=====

Entry from the Materials Project database: a relaxed K2NdP5O15 crystal (PBE-GGA).

MP2020-corrected energy: -0.2781 Ha/atom
calculated formation energy: -2860 meV/atom

Cell lengths 8.5210, 11.7500, 13.4096 Å; angles 90.00, 90.69, 90.00 degrees
With the nearest neighbours (Å) after each atom.
Space group Cc (No. 9)
Asymmetric unit:
1 K 0.0000 0.1180 0.0000  3 O 2.66-2.91
2 K 0.3294 0.3058 0.1975  4 O 2.77-3.10
3 Nd 0.3229 0.0959 0.6937  7 O 2.36-2.58
4 P 0.1292 0.1969 0.4532  4 O 1.49-1.63
5 P 0.1343 0.4249 0.0023  4 O 1.49-1.63
6 P 0.1436 0.3757 0.7847  4 O 1.50-1.63
7 P 0.3981 0.1102 0.9732  4 O 1.50-1.60
8 P 0.4895 0.3958 0.7693  4 O 1.50-1.63
9 O 0.0204 0.4602 0.7539  1 P 1.50
10 O 0.0279 0.3639 0.0737  1 P 1.51
11 O 0.0507 0.0979 0.3830  2 P 1.61-1.63
12 O 0.0558 0.4616 0.4598  2 P 1.59-1.60
13 O 0.0771 0.0134 0.2138  1 P 1.50
14 O 0.1329 0.3459 0.9021  2 P 1.62-1.63
15 O 0.1478 0.2631 0.7317  1 P 1.50
16 O 0.1797 0.1359 0.5462  1 P 1.50
17 O 0.2437 0.2667 0.3966  1 P 1.49
18 O 0.2970 0.4511 0.0362  1 P 1.49
19 O 0.3013 0.1021 0.8787  1 P 1.51
20 O 0.3105 0.4432 0.7773  2 P 1.63
21 O 0.3203 0.0851 0.0709  1 P 1.50
22 O 0.4709 0.2354 0.9832  2 P 1.60-1.62
23 O 0.4877 0.2757 0.7307  1 P 1.50

=====

Entry from the Materials Project database: a relaxed EuAl8Fe2 crystal (PBE-GGA).

calculated formation energy: -372 meV/atom

Cell lengths 12.5042, 14.5012, 4.0011 Å; angles 90.00, 90.00, 90.00 degrees
With the nearest neighbours (Å) after each atom.
Space group Pbam (No. 55)
Asymmetric unit:
1 Eu 0.1600 0.1818 0.0000  13 Al 3.15-3.35
2 Al 0.0000 0.0000 0.0000  2 Fe 2.35
3 Al 0.0000 0.5000 0.5000  4 Fe 2.43, 4 Al 2.64-2.65
4 Al 0.0259 0.8673 0.5000  2 Fe 2.57, 6 Al 2.67-2.80
5 Al 0.0471 0.3215 0.5000  2 Fe 2.59, 6 Al 2.65-2.89
6 Al 0.0940 0.7455 0.0000  2 Fe 2.36-2.37
7 Al 0.1588 0.6195 0.5000  2 Fe 2.56, 5 Al 2.64-2.83
8 Al 0.1631 0.4534 0.0000  3 Fe 2.47-2.56
9 Al 0.1666 0.0068 0.5000  2 Fe 2.53, 3 Al 2.68-2.73
10 Al 0.2350 0.8290 0.5000  2 Fe 2.50, 3 Al 2.67-2.73
11 Fe 0.0356 0.5901 0.0000  9 Al 2.37-2.59
12 Fe 0.1489 0.9010 0.0000  9 Al 2.35-2.57

=====

Entry from the Materials Project database: a relaxed NaSc2Ti2P3S3O24 crystal (PBE-GGA).

MP2020-corrected energy: -0.2883 Ha/atom
calculated formation energy: -2782 meV/atom

Cell lengths 8.6992, 8.7091, 22.6742 Å; angles 90.00, 90.29, 119.90 degrees
With the nearest neighbours (Å) after each atom.
Space group P1 (No. 1)
Asymmetric unit:
1 Na 0.0000 0.0000 0.0000  6 O 2.53-2.67
2 Na 0.0045 0.0156 0.4973  6 O 2.49-2.75
3 Na 0.3394 0.6722 0.3345  6 O 2.49-2.68
4 Sc 0.0007 0.0122 0.6459  6 O 2.02-2.15
5 Sc 0.3323 0.6717 0.4765  6 O 2.03-2.12
6 Sc 0.3332 0.6818 0.9733  6 O 2.00-2.17
7 Sc 0.9879 0.9984 0.1496  5 O 1.98-2.12
8 Sc 0.9936 0.0157 0.3528  6 O 2.02-2.21
9 Sc 0.9989 0.0025 0.8540  6 O 2.05-2.16
10 Ti 0.3197 0.6632 0.1869  5 O 1.86-2.03
11 Ti 0.3229 0.6765 0.6812  4 O 1.85-2.03
12 Ti 0.6547 0.3368 0.8145  5 O 1.83-2.04
13 Ti 0.6572 0.3223 0.5218  4 O 1.85-1.95
14 Ti 0.6635 0.3430 0.3106  6 O 1.90-2.01
15 Ti 0.6672 0.3512 0.0225  6 O 1.88-2.07
16 P 0.0398 0.3869 0.5805  4 O 1.52-1.60
17 P 0.0445 0.6740 0.0808  4 O 1.52-1.57
18 P 0.3310 0.9623 0.5810  4 O 1.51-1.59
19 P 0.3837 0.0633 0.9177  4 O 1.51-1.58
20 P 0.3840 0.3387 0.4159  4 O 1.53-1.56
21 P 0.6642 0.0574 0.4149  4 O 1.53-1.58
22 P 0.6666 0.6239 0.9166  4 O 1.51-1.57
23 P 0.7006 0.7122 0.2498  4 O 1.53-1.57
24 P 0.9949 0.3006 0.2493  4 O 1.52-1.59
25 S 0.2942 0.0064 0.2495  4 O 1.47-1.51
26 S 0.2946 0.3066 0.7495  4 O 1.48-1.50
27 S 0.3326 0.3854 0.0817  4 O 1.46-1.50
28 S 0.6192 0.9659 0.0817  4 O 1.47-1.49
29 S 0.6197 0.6697 0.5829  4 O 1.46-1.50
30 S 0.7010 0.0066 0.7495  4 O 1.48-1.49
31 S 0.9449 0.3379 0.9162  4 O 1.46-1.49
32 S 0.9467 0.6242 0.4162  4 O 1.47-1.49
33 S 0.9977 0.7091 0.7492  4 O 1.47-1.50
34 O 0.0145 0.2018 0.5916  1 P 1.54
35 O 0.0181 0.8337 0.0891  1 P 1.53
36 O 0.0348 0.8243 0.8016  1 S 1.48
37 O 0.0423 0.2281 0.3037  1 P 1.53
38 O 0.1204 0.4960 0.9214  1 S 1.46
39 O 0.1247 0.6398 0.4191  1 S 1.49
40 O 0.1372 0.5074 0.6367  1 P 1.60
41 O 0.1365 0.6470 0.1366  1 P 1.57
42 O 0.1574 0.6999 0.0267  1 P 1.52
43 O 0.1583 0.4681 0.5273  1 P 1.52
44 O 0.1584 0.6917 0.7391  1 S 1.50
45 O 0.1624 0.4911 0.2383  1 P 1.59
46 O 0.1705 0.9861 0.5912  1 P 1.53
47 O 0.1786 0.2063 0.0890  1 S 1.47
48 O 0.1824 0.9703 0.3018  1 S 1.47
49 O 0.1828 0.2263 0.8019  1 S 1.48
50 O 0.2017 0.0503 0.9109  1 P 1.54
51 O 0.2029 0.1688 0.4122  1 P 1.53
52 O 0.2157 0.0366 0.1961  1 S 1.47
53 O 0.2173 0.1913 0.6973  1 S 1.48
54 O 0.3021 0.8485 0.5272  1 P 1.51
55 O 0.3055 0.4663 0.0290  1 S 1.46
56 O 0.3181 0.4842 0.7389  1 S 1.48
57 O 0.3177 0.8478 0.2407  1 S 1.51
58 O 0.3594 0.8710 0.6374  1 P 1.59
59 O 0.3613 0.4958 0.1356  1 S 1.50
60 O 0.3681 0.5065 0.4193  1 P 1.54
61 O 0.3706 0.8836 0.9215  1 P 1.51
62 O 0.4722 0.1627 0.2578  1 S 1.48
63 O 0.4738 0.3249 0.7593  1 S 1.50
64 O 0.4789 0.1807 0.9718  1 P 1.54
65 O 0.4810 0.3232 0.4720  1 P 1.56
66 O 0.4964 0.1544 0.8608  1 P 1.58
67 O 0.4963 0.8757 0.4190  1 P 1.53
68 O 0.4968 0.3595 0.3605  1 P 1.55
69 O 0.4968 0.3716 0.0752  1 S 1.50
70 O 0.4987 0.6327 0.9230  1 P 1.51
71 O 0.5011 0.1458 0.5749  1 P 1.55
72 O 0.5078 0.6465 0.6361  1 S 1.50
73 O 0.5124 0.6886 0.2371  1 P 1.57
74 O 0.5116 0.8820 0.1349  1 S 1.48
75 O 0.5242 0.8490 0.7389  1 S 1.48
76 O 0.5412 0.8550 0.0288  1 S 1.47
77 O 0.5439 0.7051 0.5299  1 S 1.47
78 O 0.6349 0.1426 0.0736  1 S 1.49
79 O 0.6356 0.5111 0.5762  1 S 1.46
80 O 0.6479 0.1541 0.3605  1 P 1.54
81 O 0.6488 0.5097 0.8609  1 P 1.57
82 O 0.6765 0.5265 0.2618  1 P 1.55
83 O 0.6820 0.1651 0.7599  1 S 1.49
84 O 0.6867 0.1701 0.4721  1 P 1.58
85 O 0.6961 0.5339 0.9719  1 P 1.57
86 O 0.7807 0.8307 0.3041  1 P 1.53
87 O 0.7830 0.9741 0.8020  1 S 1.48
88 O 0.7979 0.8281 0.5914  1 S 1.49
89 O 0.8006 0.9905 0.0877  1 S 1.49
90 O 0.8152 0.0417 0.6975  1 S 1.48
91 O 0.8156 0.7893 0.1948  1 P 1.53
92 O 0.8333 0.0429 0.4133  1 P 1.54
93 O 0.8345 0.8062 0.9105  1 P 1.54
94 O 0.8367 0.3111 0.9695  1 S 1.48
95 O 0.8368 0.3282 0.2614  1 P 1.54
96 O 0.8429 0.5409 0.4697  1 S 1.47
97 O 0.8436 0.5315 0.7596  1 S 1.48
98 O 0.8594 0.3771 0.5731  1 P 1.54
99 O 0.8599 0.5024 0.0719  1 P 1.57
100 O 0.8608 0.3605 0.8620  1 S 1.49
101 O 0.8635 0.5190 0.3619  1 S 1.49
102 O 0.9615 0.1770 0.9102  1 S 1.48
103 O 0.9635 0.7885 0.6970  1 S 1.47
104 O 0.9655 0.1896 0.1940  1 P 1.52
105 O 0.9659 0.8023 0.4111  1 S 1.48

=====

Entry from the Materials Project database: a relaxed BaMg14CO16 crystal (PBE-GGA).

MP2020-corrected energy: -0.2227 Ha/atom
calculated formation energy: -2537 meV/atom

Cell lengths 4.4936, 8.6396, 8.7542 Å; angles 90.00, 90.00, 90.00 degrees
With the nearest neighbours (Å) after each atom.
Space group Pmmm (No. 47)
Asymmetric unit:
1 Ba 0.0000 0.0000 0.0000  6 O 2.25-2.45
2 Mg 0.0000 0.0000 0.5000  2 O 1.92
3 Mg 0.0000 0.2601 0.2571  6 O 2.07-2.26
4 Mg 0.0000 0.5000 0.5000  6 O 2.10-2.25
5 Mg 0.5000 0.0000 0.2637  6 O 2.07-2.31
6 Mg 0.5000 0.2527 0.5000  6 O 2.14-2.25
7 Mg 0.5000 0.2663 0.0000  5 O 2.02-2.25
8 Mg 0.5000 0.5000 0.2478  6 O 2.16-2.25
9 C 0.0000 0.5000 0.0000  2 O 1.87
10 O 0.0000 0.0000 0.2802  1 Mg 1.92
11 O 0.0000 0.2568 0.5000  6 Mg 2.10-2.25
12 O 0.0000 0.2835 0.0000  1 C 1.87
13 O 0.0000 0.5000 0.2595  5 Mg 2.07-2.25, 1 C 2.27
14 O 0.5000 0.0000 0.0000  2 Ba 2.25, 4 Mg 2.30-2.31
15 O 0.5000 0.0000 0.5000  6 Mg 2.07-2.25
16 O 0.5000 0.2502 0.2483  6 Mg 2.16-2.25
17 O 0.5000 0.5000 0.0000  4 Mg 2.02-2.17, 2 C 2.25
18 O 0.5000 0.5000 0.5000  6 Mg 2.14-2.25

=====

Entry from the Materials Project database: a relaxed MgZn5 crystal (PBE-GGA).

calculated formation energy: 2 meV/atom

Cell lengths 10.5322, 2.8653, 6.5792 Å; angles 90.00, 105.24, 90.00 degrees
With the nearest neighbours (Å) after each atom.
Space group Cm (No. 8)
Asymmetric unit:
1 Mg 0.0000 0.0000 0.0000  10 Zn 2.80-2.88, 2 Mg 2.87
2 Zn 0.1150 0.5000 0.7206  10 Zn 2.69-2.90, 2 Mg 2.84
3 Zn 0.1718 0.5000 0.3448  10 Zn 2.69-2.87, 2 Mg 2.88
4 Zn 0.2772 0.0000 0.0622  9 Zn 2.80-2.87, 3 Mg 2.84-2.87
5 Zn 0.3327 0.0000 0.6659  10 Zn 2.74-2.90, 2 Mg 2.82
6 Zn 0.4461 0.5000 0.3943  11 Zn 2.79-2.87, 1 Mg 2.80

=====

Entry from the Materials Project database: a relaxed Na9Mg2Nb10Si9P9O72 crystal (PBE-GGA).

MP2020-corrected energy: -0.2969 Ha/atom
calculated formation energy: -2946 meV/atom

Cell lengths 8.8975, 8.9047, 22.7346 Å; angles 89.99, 89.99, 60.10 degrees
With the nearest neighbours (Å) after each atom.
Space group P1 (No. 1)
Asymmetric unit:
1 Na 0.0000 0.0000 0.0000  6 O 2.59-2.61
2 Na 0.9997 0.0005 0.4994  6 O 2.56-2.64
3 Na 0.3249 0.3429 0.6665  6 O 2.57-2.67
4 Na 0.3340 0.3249 0.1656  6 O 2.55-2.63
5 Na 0.6324 0.9933 0.7471  5 O 2.30-2.57
6 Na 0.6340 0.3760 0.2467  4 O 2.32-2.57
7 Na 0.6547 0.6791 0.3293  4 O 2.41-2.67
8 Na 0.6670 0.6548 0.8283  3 O 2.33-2.58
9 Na 0.9924 0.6329 0.2475  3 O 2.27-2.46
10 Mg 0.6581 0.6755 0.1864  6 O 2.00-2.21
11 Mg 0.6664 0.6589 0.6867  6 O 2.02-2.17
12 Nb 0.0018 0.9929 0.3570  6 O 1.93-2.09
13 Nb 0.3315 0.3382 0.8135  6 O 1.91-2.12
14 Nb 0.3331 0.3334 0.0205  6 O 1.93-2.07
15 Nb 0.3330 0.3334 0.5208  6 O 1.93-2.07
16 Nb 0.3359 0.3300 0.3143  6 O 1.92-2.11
17 Nb 0.6648 0.6664 0.4787  6 O 1.96-2.06
18 Nb 0.6646 0.6677 0.9784  6 O 1.96-2.06
19 Nb 0.9955 0.0067 0.8568  6 O 1.91-2.06
20 Nb 0.9966 0.0029 0.6461  6 O 1.92-2.08
21 Nb 0.9984 0.9976 0.1462  6 O 1.92-2.09
22 Si 0.0443 0.6198 0.4175  4 O 1.63-1.64
23 Si 0.0448 0.3349 0.9174  4 O 1.63
24 Si 0.2941 0.7115 0.2509  4 O 1.58-1.67
25 Si 0.3308 0.6234 0.9175  4 O 1.61-1.65
26 Si 0.3316 0.0452 0.4180  4 O 1.62-1.65
27 Si 0.6193 0.0459 0.9169  4 O 1.63-1.64
28 Si 0.6225 0.3326 0.4176  4 O 1.61-1.65
29 Si 0.7073 0.9970 0.2506  4 O 1.58-1.68
30 Si 0.7082 0.2990 0.7506  4 O 1.57-1.69
31 P 0.9997 0.7120 0.7504  4 O 1.52-1.57
32 P 0.0016 0.2850 0.2505  4 O 1.52-1.56
33 P 0.2877 0.9990 0.7508  4 O 1.51-1.57
34 P 0.3781 0.9556 0.0852  4 O 1.50-1.57
35 P 0.3786 0.6664 0.5857  4 O 1.49-1.58
36 P 0.6646 0.9545 0.5865  4 O 1.51-1.59
37 P 0.6657 0.3791 0.0859  4 O 1.51-1.57
38 P 0.9534 0.3813 0.5857  4 O 1.49-1.59
39 P 0.9543 0.6650 0.0859  4 O 1.51-1.58
40 O 0.0239 0.8113 0.4112  1 Si 1.63
41 O 0.0256 0.1633 0.9099  1 Si 1.63
42 O 0.0301 0.1700 0.1951  1 P 1.56
43 O 0.0296 0.7998 0.6951  1 P 1.57
44 O 0.1296 0.5037 0.3581  1 Si 1.64
45 O 0.1357 0.3653 0.8597  1 Si 1.63
46 O 0.1402 0.3529 0.5759  1 P 1.57
47 O 0.1401 0.5063 0.0763  1 P 1.56
48 O 0.1607 0.0272 0.4104  1 Si 1.62
49 O 0.1614 0.8073 0.1940  1 Si 1.67
50 O 0.1622 0.8125 0.9088  1 Si 1.61
51 O 0.1653 0.5309 0.7562  1 P 1.56
52 O 0.1658 0.3042 0.2559  1 P 1.56
53 O 0.1662 0.3045 0.9748  1 Si 1.63
54 O 0.1672 0.5268 0.4743  1 Si 1.63
55 O 0.1709 0.0250 0.6957  1 P 1.57
56 O 0.1913 0.8334 0.3076  1 Si 1.64
57 O 0.1922 0.8312 0.5905  1 P 1.58
58 O 0.1918 0.9772 0.0899  1 P 1.57
59 O 0.1963 0.9773 0.8054  1 P 1.55
60 O 0.2960 0.5238 0.2564  1 Si 1.67
61 O 0.2998 0.1686 0.7559  1 P 1.57
62 O 0.3026 0.5297 0.9746  1 Si 1.63
63 O 0.3045 0.1667 0.4750  1 Si 1.63
64 O 0.3521 0.5066 0.5759  1 P 1.57
65 O 0.3528 0.1414 0.0757  1 P 1.57
66 O 0.3643 0.1363 0.3602  1 Si 1.65
67 O 0.3651 0.4985 0.8599  1 Si 1.65
68 O 0.4643 0.6934 0.5295  1 P 1.57
69 O 0.4642 0.8425 0.0293  1 P 1.56
70 O 0.4698 0.8463 0.7454  1 P 1.51
71 O 0.4862 0.6366 0.6395  1 P 1.49
72 O 0.4865 0.6759 0.2468  1 Si 1.58
73 O 0.4856 0.8792 0.1394  1 P 1.50
74 O 0.5010 0.1323 0.8580  1 Si 1.64
75 O 0.5016 0.3665 0.3586  1 Si 1.65
76 O 0.5037 0.6401 0.9269  1 Si 1.63
77 O 0.5037 0.8556 0.4271  1 Si 1.63
78 O 0.5053 0.3536 0.0763  1 P 1.57
79 O 0.5065 0.1405 0.5766  1 P 1.57
80 O 0.5208 0.1794 0.2560  1 Si 1.65
81 O 0.5222 0.2965 0.7562  1 Si 1.67
82 O 0.5277 0.1686 0.9740  1 Si 1.63
83 O 0.5276 0.3044 0.4743  1 Si 1.63
84 O 0.6372 0.8809 0.6424  1 P 1.51
85 O 0.6380 0.4809 0.1419  1 P 1.51
86 O 0.6386 0.5058 0.4268  1 Si 1.63
87 O 0.6398 0.8550 0.9269  1 Si 1.63
88 O 0.6896 0.4697 0.0308  1 P 1.56
89 O 0.6898 0.4831 0.7476  1 Si 1.57
90 O 0.6916 0.8398 0.5313  1 P 1.56
91 O 0.7024 0.8224 0.2462  1 Si 1.58
92 O 0.8013 0.0366 0.1932  1 Si 1.68
93 O 0.8064 0.1622 0.6940  1 Si 1.69
94 O 0.8117 0.0229 0.9094  1 Si 1.63
95 O 0.8123 0.1644 0.4097  1 Si 1.61
96 O 0.8308 0.1875 0.8071  1 Si 1.66
97 O 0.8314 0.1941 0.0892  1 P 1.57
98 O 0.8320 0.9740 0.5905  1 P 1.59
99 O 0.8315 0.9786 0.3070  1 Si 1.65
100 O 0.8347 0.7029 0.7448  1 P 1.52
101 O 0.8394 0.6921 0.0309  1 P 1.56
102 O 0.8407 0.4639 0.5295  1 P 1.56
103 O 0.8424 0.4644 0.2443  1 P 1.52
104 O 0.8531 0.6412 0.4272  1 Si 1.63
105 O 0.8539 0.5043 0.9272  1 Si 1.63
106 O 0.8765 0.4885 0.6396  1 P 1.49
107 O 0.8807 0.6367 0.1419  1 P 1.51
108 O 0.9738 0.1984 0.3049  1 P 1.54
109 O 0.9737 0.8321 0.0899  1 P 1.58
110 O 0.9755 0.1933 0.5913  1 P 1.59
111 O 0.9781 0.8265 0.8048  1 P 1.55